## Rb2Ti4O9 (r²SCAN)

Data for crystalline Rb2Ti4O9 at its relaxed geometry.

Summary:
V = 14.00 A^3/atom
total DFT energy (no corrections) = -11.99 eV per atom
space-group type = C2/m (12)
magnetization = 0.0 μB/f.u.

Geometry as POSCAR:
```
Rb2Ti4O9
1.0
0.000 -3.802 0.000
-9.158 1.901 2.688
0.054 0.000 -12.079
O Rb Ti
18 4 8
direct
0.306 0.611 0.858
0.127 0.254 0.962
0.165 0.330 0.743
0.910 0.820 0.817
0.090 0.180 0.183
0.694 0.389 0.142
0.873 0.746 0.038
0.269 0.539 0.078
0.767 0.534 0.700
0.731 0.461 0.922
0.835 0.670 0.257
0.040 0.080 0.378
0.186 0.371 0.526
0.960 0.920 0.622
0.346 0.692 0.644
0.233 0.466 0.300
0.654 0.308 0.356
0.814 0.629 0.474
0.584 0.167 0.582
0.480 0.959 0.169
0.520 0.041 0.831
0.416 0.833 0.418
0.165 0.331 0.125
0.835 0.669 0.875
0.873 0.746 0.640
0.205 0.410 0.897
0.795 0.590 0.103
0.754 0.507 0.334
0.246 0.493 0.666
0.127 0.254 0.360
```